# 1
18
Lattice="7.994 0.000 0.000 0.000 7.994 0.000 0.000 0.000 15.617" Properties=species:S:1:pos:R:3 comment="PBE-GGA Ba2SrI6, optimized geometry" energy_ev_per_atom=-3.37 space_group="P4_2/mnm, No. 136" pbc="T T T"
Ba 0.000 0.000 2.601
Ba 0.000 0.000 13.015
Ba 3.997 3.997 5.207
Ba 3.997 3.997 10.410
Sr 0.000 0.000 7.808
Sr 3.997 3.997 0.000
I 1.538 1.538 5.315
I 1.538 1.538 10.302
I 1.642 1.642 0.000
I 2.355 5.640 7.808
I 2.459 5.535 2.494
I 2.459 5.535 13.123
I 5.535 2.459 2.494
I 5.535 2.459 13.123
I 5.640 2.355 7.808
I 6.352 6.352 0.000
I 6.457 6.457 5.315
I 6.457 6.457 10.302

***

# 2
24
Lattice="4.919 0.000 0.000 0.100 6.328 0.000 0.133 2.286 7.713" Properties=species:S:1:pos:R:3 comment="PBE-GGA Li3AlB2O6, optimized geometry" energy_ev_per_atom=-6.88 space_group="P-1, No. 2" pbc="T T T"
Li 0.914 2.554 2.997
Li 1.063 7.820 5.695
Li 1.587 0.810 0.545
Li 3.565 7.804 7.168
Li 4.089 0.794 2.018
Li 4.237 6.060 4.716
Al 1.862 4.471 5.593
Al 3.289 4.143 2.120
B 0.892 4.491 0.715
B 1.823 6.179 3.317
B 3.328 2.435 4.396
B 4.260 4.123 6.998
O 0.738 4.174 6.898
O 1.183 7.013 2.476
O 1.267 5.802 4.555
O 1.639 7.529 7.484
O 1.622 3.777 1.682
O 2.015 2.920 4.669
O 3.137 5.694 3.044
O 3.530 4.837 6.031
O 3.513 1.085 0.229
O 3.884 2.812 3.158
O 3.969 1.601 5.237
O 4.414 4.440 0.815

***

# 3
6
Lattice="4.301 0.000 0.000 -2.150 3.724 0.000 0.000 0.000 7.988" Properties=species:S:1:pos:R:3 comment="PBE-GGA CaPAu, optimized geometry" energy_ev_per_atom=-4.44 space_group="P6_3/mmc, No. 194" pbc="T T T"
Ca 0.000 0.000 0.000
Ca 0.000 0.000 3.994
P 0.000 2.483 1.997
P 2.150 1.241 5.991
Au 0.000 2.483 5.991
Au 2.150 1.241 1.997

***

# 4
4
Lattice="0.000 3.373 3.373 3.373 0.000 3.373 3.373 3.373 0.000" Properties=species:S:1:pos:R:3 comment="PBE-GGA Li2AgBi, optimized geometry" energy_ev_per_atom=-2.99 space_group="Fm-3m, No. 225" pbc="T T T"
Li 1.686 1.686 1.686
Li 5.059 5.059 5.059
Ag 0.000 0.000 0.000
Bi 3.373 3.373 3.373